*i*
{"formula": "MgMo3Se4S2", "functional": "PBE-GGA", "state": "optimized geometry", "cell": [[3.275, 0.000, 0.000], [-1.638, 2.837, 0.000], [0.000, 0.000, 30.248]], "species": ["Se", "Se", "Se", "Se", "Mo", "Mo", "Mo", "S", "S", "Mg"], "frac_coords": [[0.667, 0.333, 0.060], [0.667, 0.333, 0.634], [0.667, 0.333, 0.172], [0.667, 0.333, 0.522], [0.333, 0.667, 0.116], [0.333, 0.667, 0.578], [0.667, 0.333, 0.347], [0.333, 0.667, 0.398], [0.333, 0.667, 0.296], [0.000, 0.000, 0.846]]}

***

*ii*
{"formula": "MgMo3Se4S2", "functional": "PBE-GGA", "state": "optimized geometry", "cell": [[3.283, 0.000, 0.000], [-1.642, 2.843, 0.000], [0.000, 0.005, 36.178]], "species": ["Se", "Se", "Se", "Se", "Mo", "Mo", "Mo", "Mg", "S", "S"], "frac_coords": [[0.667, 0.333, 0.631], [0.667, 0.334, 0.069], [0.667, 0.333, 0.537], [0.667, 0.333, 0.162], [0.333, 0.667, 0.584], [0.667, 0.333, 0.338], [0.333, 0.667, 0.116], [0.667, 0.334, 0.456], [0.333, 0.667, 0.295], [0.333, 0.666, 0.380]]}

***

Most stable: *ii*

***

*i*
{"formula": "LiCu6OF11", "functional": "PBE-GGA", "state": "optimized geometry", "cell": [[2.679, 0.001, -4.635], [-0.047, 4.784, -0.026], [7.258, -0.108, 4.655]], "species": ["Cu", "Cu", "Cu", "Cu", "Cu", "Cu", "F", "F", "F", "F", "F", "F", "F", "F", "F", "F", "F", "Li", "O"], "frac_coords": [[0.973, 0.000, 0.002], [0.827, 0.497, 0.322], [0.201, 0.490, 0.645], [0.346, 0.983, 0.325], [0.420, 0.574, 0.060], [0.685, 0.003, 0.650], [0.127, 0.290, 0.404], [0.384, 0.807, 0.577], [0.987, 0.200, 0.732], [0.147, 0.681, 0.907], [0.665, 0.821, 0.919], [0.786, 0.325, 0.047], [0.633, 0.197, 0.407], [0.502, 0.320, 0.732], [0.883, 0.681, 0.601], [0.271, 0.193, 0.082], [0.046, 0.783, 0.246], [0.807, 0.489, 0.843], [0.548, 0.694, 0.250]]}

***

*ii*
{"formula": "LiCu6OF11", "functional": "PBE-GGA", "state": "optimized geometry", "cell": [[0.287, -1.487, -5.208], [-2.005, -4.020, 1.084], [-8.399, 3.654, -1.392]], "species": ["F", "F", "F", "F", "F", "F", "F", "F", "F", "F", "F", "Cu", "Cu", "Cu", "Cu", "Cu", "Cu", "Li", "O"], "frac_coords": [[0.704, 0.809, 0.929], [0.795, 0.282, 0.078], [0.625, 0.162, 0.396], [0.123, 0.266, 0.379], [0.443, 0.311, 0.756], [0.053, 0.774, 0.229], [0.392, 0.802, 0.603], [0.283, 0.219, 0.078], [0.950, 0.229, 0.762], [0.206, 0.728, 0.909], [0.878, 0.730, 0.610], [0.473, 0.577, 0.047], [0.841, 0.450, 0.286], [0.164, 0.522, 0.688], [0.660, 0.009, 0.709], [0.001, 0.010, 0.996], [0.342, 0.986, 0.293], [0.639, 0.754, 0.462], [0.552, 0.671, 0.244]]}

***

Most stable: *i*

***

*i*
{"formula": "Sm2B4O9", "functional": "PBE-GGA", "state": "optimized geometry", "cell": [[4.484, 0.000, 0.000], [-2.242, 12.854, 0.000], [-0.010, -4.318, 24.787]], "species": ["O", "O", "O", "O", "O", "O", "O", "O", "O", "O", "O", "O", "O", "O", "O", "O", "O", "O", "O", "O", "O", "O", "O", "O", "O", "O", "O", "O", "O", "O", "O", "O", "O", "O", "O", "O", "O", "O", "O", "O", "O", "O", "O", "O", "O", "O", "O", "O", "O", "O", "O", "O", "O", "O", "O", "O", "O", "O", "O", "O", "O", "O", "O", "O", "O", "O", "O", "O", "O", "O", "O", "O", "O", "O", "O", "O", "O", "O", "O", "O", "O", "O", "O", "O", "O", "O", "O", "O", "O", "O", "Sm", "Sm", "Sm", "Sm", "Sm", "Sm", "Sm", "Sm", "Sm", "Sm", "Sm", "Sm", "Sm", "Sm", "Sm", "Sm", "Sm", "Sm", "Sm", "Sm", "B", "B", "B", "B", "B", "B", "B", "B", "B", "B", "B", "B", "B", "B", "B", "B", "B", "B", "B", "B", "B", "B", "B", "B", "B", "B", "B", "B", "B", "B", "B", "B", "B", "B", "B", "B", "B", "B", "B", "B"], "frac_coords": [[0.620, 0.808, 0.753], [0.153, 0.286, 0.364], [0.303, 0.260, 0.609], [0.628, 0.871, 0.669], [0.658, 0.448, 0.487], [0.182, 0.425, 0.814], [0.683, 0.127, 0.478], [0.191, 0.810, 0.254], [0.374, 0.130, 0.330], [0.692, 0.462, 0.257], [0.555, 0.873, 0.022], [0.973, 0.237, 0.199], [0.029, 0.764, 0.800], [0.712, 0.040, 0.085], [0.277, 0.605, 0.133], [0.222, 0.727, 0.335], [0.752, 0.130, 0.830], [0.774, 0.907, 0.840], [0.242, 0.425, 0.314], [0.044, 0.785, 0.984], [0.381, 0.191, 0.246], [0.282, 0.959, 0.915], [0.498, 0.271, 0.164], [0.803, 0.542, 0.082], [0.188, 0.784, 0.073], [0.222, 0.093, 0.159], [0.686, 0.000, 0.750], [0.766, 0.462, 0.758], [0.733, 0.764, 0.301], [0.787, 0.448, 0.986], [0.805, 0.896, 0.226], [0.313, 0.000, 0.250], [0.214, 0.552, 0.013], [0.262, 0.238, 0.700], [0.958, 0.260, 0.108], [0.747, 0.306, 0.555], [0.259, 0.215, 0.515], [0.793, 0.874, 0.111], [0.921, 0.603, 0.944], [0.904, 0.052, 0.957], [0.938, 0.407, 0.173], [0.591, 0.785, 0.574], [0.444, 0.695, 0.944], [0.558, 0.305, 0.055], [0.062, 0.593, 0.827], [0.440, 0.125, 0.978], [0.691, 0.740, 0.392], [0.739, 0.784, 0.485], [0.326, 0.606, 0.633], [0.953, 0.214, 0.015], [0.145, 0.054, 0.457], [0.855, 0.947, 0.543], [0.256, 0.458, 0.419], [0.130, 0.906, 0.341], [0.471, 0.407, 0.673], [0.317, 0.873, 0.522], [0.671, 0.395, 0.368], [0.920, 0.125, 0.389], [0.805, 0.215, 0.926], [0.908, 0.103, 0.274], [0.805, 0.190, 0.746], [0.406, 0.216, 0.426], [0.092, 0.897, 0.726], [0.681, 0.602, 0.445], [0.721, 0.394, 0.868], [0.192, 0.104, 0.774], [0.674, 0.960, 0.415], [0.504, 0.728, 0.834], [0.129, 0.286, 0.864], [0.871, 0.093, 0.659], [0.199, 0.458, 0.918], [0.201, 0.125, 0.889], [0.305, 0.538, 0.743], [0.739, 0.542, 0.582], [0.844, 0.714, 0.636], [0.756, 0.575, 0.687], [0.818, 0.575, 0.187], [0.771, 0.270, 0.664], [0.083, 0.397, 0.055], [0.248, 0.694, 0.445], [0.049, 0.742, 0.891], [0.326, 0.040, 0.585], [0.232, 0.539, 0.243], [0.242, 0.868, 0.169], [0.314, 0.397, 0.555], [0.091, 0.947, 0.043], [0.866, 0.713, 0.136], [0.532, 0.593, 0.327], [0.338, 0.553, 0.514], [0.080, 0.873, 0.611], [0.534, 0.718, 0.208], [0.991, 0.570, 0.371], [0.577, 0.569, 0.870], [0.262, 0.128, 0.071], [0.342, 0.024, 0.678], [0.657, 0.975, 0.321], [0.816, 0.282, 0.292], [0.865, 0.128, 0.570], [0.075, 0.691, 0.540], [0.007, 0.430, 0.630], [0.680, 0.023, 0.178], [0.464, 0.282, 0.792], [0.735, 0.871, 0.929], [0.921, 0.310, 0.459], [0.129, 0.872, 0.430], [0.386, 0.309, 0.960], [0.423, 0.431, 0.130], [0.618, 0.690, 0.039], [0.316, 0.976, 0.821], [0.180, 0.718, 0.708], [0.074, 0.802, 0.309], [0.135, 0.706, 0.941], [0.782, 0.938, 0.066], [0.451, 0.290, 0.662], [0.544, 0.709, 0.338], [0.957, 0.183, 0.876], [0.424, 0.503, 0.282], [0.037, 0.816, 0.124], [0.226, 0.853, 0.031], [0.568, 0.704, 0.442], [0.358, 0.391, 0.367], [0.034, 0.516, 0.961], [0.153, 0.937, 0.565], [0.769, 0.146, 0.969], [0.728, 0.803, 0.808], [0.969, 0.609, 0.134], [0.846, 0.062, 0.434], [0.775, 0.896, 0.725], [0.776, 0.816, 0.624], [0.223, 0.184, 0.376], [0.078, 0.503, 0.782], [0.374, 0.147, 0.469], [0.272, 0.197, 0.191], [0.211, 0.062, 0.934], [0.875, 0.104, 0.775], [0.481, 0.516, 0.462], [0.030, 0.391, 0.867], [0.575, 0.497, 0.718], [0.968, 0.484, 0.038], [0.923, 0.197, 0.691], [0.624, 0.852, 0.531], [0.921, 0.497, 0.218], [0.515, 0.484, 0.539], [0.867, 0.295, 0.058], [0.225, 0.104, 0.275], [0.165, 0.710, 0.837], [0.639, 0.609, 0.634], [0.838, 0.290, 0.162], [0.428, 0.295, 0.558], [0.121, 0.896, 0.225]]}

***

*ii*
{"formula": "Sm2B4O9", "functional": "PBE-GGA", "state": "optimized geometry", "cell": [[-0.531, -4.298, -4.541], [2.424, -3.509, 4.996], [-7.396, 0.388, 1.763]], "species": ["Sm", "Sm", "Sm", "Sm", "B", "B", "B", "B", "B", "B", "B", "B", "O", "O", "O", "O", "O", "O", "O", "O", "O", "O", "O", "O", "O", "O", "O", "O", "O", "O"], "frac_coords": [[0.113, 0.323, 0.642], [0.547, 0.092, 0.284], [0.453, 0.908, 0.716], [0.887, 0.677, 0.358], [0.338, 0.323, 0.074], [0.662, 0.677, 0.926], [0.729, 0.335, 0.981], [0.626, 0.358, 0.653], [0.374, 0.642, 0.347], [0.271, 0.665, 0.019], [0.005, 0.850, 0.814], [0.995, 0.150, 0.186], [0.228, 0.432, 0.962], [0.495, 0.216, 0.984], [0.240, 0.735, 0.209], [0.543, 0.537, 0.749], [0.457, 0.463, 0.251], [0.140, 0.719, 0.861], [0.425, 0.186, 0.560], [0.935, 0.050, 0.321], [0.575, 0.814, 0.440], [0.760, 0.265, 0.791], [0.065, 0.950, 0.679], [0.772, 0.568, 0.038], [0.222, 0.594, 0.474], [0.860, 0.281, 0.139], [0.778, 0.406, 0.526], [0.505, 0.784, 0.016], [0.814, 0.862, 0.882], [0.186, 0.138, 0.118]]}

***

Most stable: *ii*

***

*i*
{"formula": "TmH3O3", "functional": "PBE-GGA", "state": "optimized geometry", "cell": [[-2.788, -0.975, 1.748], [-2.411, -2.479, -5.229], [1.335, -6.063, -1.254]], "species": ["Tm", "Tm", "H", "H", "H", "H", "H", "H", "O", "O", "O", "O", "O", "O"], "frac_coords": [[0.750, 0.656, 0.678], [0.250, 0.344, 0.322], [0.250, 0.864, 0.864], [0.750, 0.136, 0.136], [0.750, 0.139, 0.689], [0.250, 0.272, 0.858], [0.750, 0.728, 0.142], [0.250, 0.861, 0.311], [0.250, 0.906, 0.696], [0.250, 0.686, 0.410], [0.750, 0.606, 0.087], [0.750, 0.314, 0.590], [0.750, 0.094, 0.304], [0.250, 0.394, 0.913]]}

***

*ii*
{"formula": "TmH3O3", "functional": "PBE-GGA", "state": "optimized geometry", "cell": [[-8.066, 2.130, 5.935], [-2.061, -4.785, -1.083], [2.717, -2.936, 4.747]], "species": ["O", "O", "O", "O", "O", "O", "O", "O", "O", "O", "O", "O", "H", "H", "H", "H", "H", "H", "H", "H", "H", "H", "H", "H", "Tm", "Tm", "Tm", "Tm"], "frac_coords": [[0.319, 0.229, 0.330], [0.307, 0.777, 0.755], [0.193, 0.777, 0.255], [0.681, 0.771, 0.670], [0.693, 0.223, 0.245], [0.007, 0.208, 0.348], [0.507, 0.792, 0.152], [0.807, 0.223, 0.745], [0.493, 0.208, 0.848], [0.993, 0.792, 0.652], [0.819, 0.771, 0.170], [0.181, 0.229, 0.830], [0.693, 0.588, 0.687], [0.388, 0.689, 0.731], [0.193, 0.412, 0.813], [0.888, 0.311, 0.769], [0.807, 0.588, 0.187], [0.525, 0.759, 0.306], [0.975, 0.759, 0.806], [0.307, 0.412, 0.313], [0.475, 0.241, 0.694], [0.025, 0.241, 0.194], [0.112, 0.689, 0.231], [0.612, 0.311, 0.269], [0.830, 0.991, 0.460], [0.670, 0.991, 0.960], [0.170, 0.009, 0.540], [0.330, 0.009, 0.040]]}

***

Most stable: *i*

***

*i*
{"formula": "BeSe", "functional": "PBE-GGA", "state": "optimized geometry", "cell": [[0.000, 2.462, 2.462], [2.462, 0.000, 2.462], [2.462, 2.462, 0.000]], "species": ["Se", "Be"], "frac_coords": [[0.500, 0.500, 0.500], [0.000, 0.000, 0.000]]}

***

*ii*
{"formula": "BeSe", "functional": "PBE-GGA", "state": "optimized geometry", "e_ij_max_c_m2": 0.2, "cell": [[0.000, 2.592, 2.592], [2.592, 0.000, 2.592], [2.592, 2.592, 0.000]], "species": ["Se", "Be"], "frac_coords": [[0.750, 0.750, 0.750], [0.000, 0.000, 0.000]]}

***

Most stable: *ii*

***

*i*
{"formula": "MgV4Cu2S8", "functional": "PBE-GGA", "state": "optimized geometry", "cell": [[-0.317, 6.846, -2.477], [3.201, -4.807, -3.894], [-5.860, -4.302, 0.493]], "species": ["Cu", "Cu", "S", "S", "S", "S", "S", "S", "S", "S", "V", "V", "V", "V", "Mg"], "frac_coords": [[0.025, 0.138, 0.113], [0.462, 0.857, 0.395], [0.745, 0.738, 0.993], [0.217, 0.734, 0.518], [0.264, 0.258, 0.994], [0.266, 0.259, 0.513], [0.746, 0.259, 0.993], [0.767, 0.273, 0.506], [0.767, 0.746, 0.506], [0.240, 0.746, 0.979], [0.731, 0.491, 0.226], [0.265, 0.025, 0.760], [0.265, 0.491, 0.761], [0.748, 0.499, 0.752], [0.743, 0.997, 0.254]]}

***

*ii*
{"formula": "MgV4Cu2S8", "functional": "PBE-GGA", "state": "optimized geometry", "cell": [[6.174, -0.184, 3.714], [1.885, 5.882, 3.714], [0.000, 0.000, 7.428]], "species": ["Cu", "Cu", "S", "S", "S", "S", "S", "S", "S", "S", "V", "V", "V", "V", "Mg"], "frac_coords": [[0.875, 0.875, 0.875], [0.125, 0.125, 0.125], [0.740, 0.740, 0.250], [0.770, 0.251, 0.740], [0.255, 0.255, 0.248], [0.255, 0.255, 0.741], [0.742, 0.249, 0.255], [0.249, 0.742, 0.255], [0.251, 0.770, 0.740], [0.740, 0.740, 0.769], [0.484, 0.484, 0.078], [0.079, 0.455, 0.483], [0.455, 0.079, 0.483], [0.484, 0.484, 0.454], [0.625, 0.625, 0.625]]}

***

Most stable: *i*